[1]
Material: Ce2Si7Rh15
Method: DFT, PBE
State: relaxed

a = 8.9307 Å, b = 8.9307 Å, c = 8.9307 Å
α = 90.00°, β = 90.00°, γ = 90.00°
Positions (direct):
Ce  0.5000  0.0000  0.0000
Ce  0.5000  0.5000  0.5000
Ce  0.0000  0.0000  0.5000
Ce  0.0000  0.5000  0.0000
Si  0.2124  0.7876  0.7876
Si  0.5000  0.5000  0.8647
Si  0.2124  0.7876  0.2124
Si  0.7876  0.2124  0.7876
Si  0.7876  0.7876  0.2124
Si  0.1353  0.5000  0.5000
Si  0.5000  0.8647  0.5000
Si  0.5000  0.1353  0.5000
Si  0.5000  0.5000  0.1353
Si  0.2124  0.2124  0.2124
Si  0.8647  0.5000  0.5000
Si  0.7876  0.2124  0.2124
Si  0.2124  0.2124  0.7876
Si  0.7876  0.7876  0.7876
Rh  0.5000  0.2621  0.2621
Rh  0.0000  0.0000  0.2272
Rh  0.3232  0.0000  0.6768
Rh  0.7379  0.5000  0.2621
Rh  0.6768  0.3232  0.0000
Rh  0.7728  0.0000  0.0000
Rh  0.3232  0.0000  0.3232
Rh  0.0000  0.0000  0.7728
Rh  0.7379  0.2621  0.5000
Rh  0.6768  0.0000  0.3232
Rh  0.2272  0.0000  0.0000
Rh  0.0000  0.3232  0.3232
Rh  0.7379  0.5000  0.7379
Rh  0.0000  0.6768  0.3232
Rh  0.2621  0.5000  0.7379
Rh  0.0000  0.6768  0.6768
Rh  0.7379  0.7379  0.5000
Rh  0.0000  0.3232  0.6768
Rh  0.5000  0.7379  0.7379
Rh  0.3232  0.3232  0.0000
Rh  0.5000  0.2621  0.7379
Rh  0.3232  0.6768  0.0000
Rh  0.0000  0.2272  0.0000
Rh  0.6768  0.0000  0.6768
Rh  0.2621  0.2621  0.5000
Rh  0.2621  0.7379  0.5000
Rh  0.5000  0.7379  0.2621
Rh  0.2621  0.5000  0.2621
Rh  0.0000  0.7728  0.0000
Rh  0.6768  0.6768  0.0000

Output
Raw total energy ... -362.04 eV for the cell shown
Mass density ... 9.42 g/cm3


[2]
Material: Na6Ca2Ti2Si3S3O24
Method: DFT, PBE
State: relaxed

a = 9.2330 Å, b = 9.2557 Å, c = 22.6996 Å
α = 90.40°, β = 90.93°, γ = 119.54°
Positions (direct):
Na  0.3683  0.3417  0.2427
Na  0.0017  0.6411  0.2394
Na  0.9845  0.3465  0.7463
Na  0.3780  0.0361  0.7430
Na  0.3041  0.3358  0.5774
Na  0.6496  0.9795  0.5937
Na  0.3159  0.9657  0.0695
Na  0.6537  0.6797  0.0848
Na  0.9947  0.6818  0.9180
Na  0.3215  0.2892  0.9053
Na  0.9959  0.3086  0.4268
Na  0.3238  0.0380  0.4095
Na  0.0064  0.9882  0.5070
Na  0.0046  0.0194  0.9939
Na  0.6538  0.3120  0.8268
Na  0.6474  0.3198  0.3343
Na  0.3085  0.6461  0.1572
Na  0.3032  0.6593  0.6604
Ca  0.9991  0.0001  0.3491
Ca  0.0004  0.0004  0.8488
Ca  0.6678  0.3436  0.6846
Ca  0.6681  0.3231  0.1835
Ca  0.3229  0.6589  0.0159
Ca  0.3220  0.6621  0.5188
Ti  0.0063  0.0424  0.6492
Ti  0.0342  0.9945  0.1410
Ti  0.6480  0.3216  0.9872
Ti  0.6404  0.3240  0.4924
Ti  0.3427  0.6633  0.3156
Ti  0.3633  0.6998  0.8070
Si  0.3041  0.9864  0.2548
Si  0.3002  0.3180  0.7565
Si  0.7062  0.0000  0.7484
Si  0.9566  0.3303  0.5854
Si  0.3516  0.0332  0.5900
Si  0.9577  0.6248  0.0869
Si  0.3687  0.3292  0.0885
Si  0.3475  0.9711  0.9192
Si  0.3487  0.3735  0.4184
S  0.6900  0.7044  0.2490
S  0.0152  0.3040  0.2524
S  0.0181  0.7133  0.7526
S  0.6805  0.6380  0.5810
S  0.6828  0.0426  0.0812
S  0.6242  0.6533  0.9176
S  0.0218  0.3700  0.9150
S  0.6208  0.9650  0.4163
S  0.0339  0.6544  0.4104
O  0.2098  0.0038  0.3103
O  0.7880  0.7919  0.3014
O  0.9980  0.2214  0.3088
O  0.2216  0.2034  0.8122
O  0.0021  0.7760  0.8103
O  0.8108  0.0183  0.8056
O  0.8036  0.9792  0.6880
O  0.1600  0.2100  0.6961
O  0.0303  0.8222  0.7033
O  0.7638  0.7964  0.1944
O  0.0254  0.2064  0.2021
O  0.1698  0.9650  0.1933
O  0.8850  0.3481  0.6461
O  0.4616  0.1197  0.6470
O  0.6545  0.5445  0.6345
O  0.8841  0.5430  0.1486
O  0.6521  0.1083  0.1354
O  0.4594  0.3423  0.1498
O  0.4709  0.2953  0.0318
O  0.8233  0.5177  0.0305
O  0.6920  0.1501  0.0299
O  0.4634  0.1721  0.5307
O  0.6839  0.5323  0.5287
O  0.8231  0.3095  0.5265
O  0.5572  0.6753  0.9730
O  0.1276  0.4486  0.9678
O  0.3252  0.8706  0.9779
O  0.5527  0.8786  0.4709
O  0.3181  0.4527  0.4756
O  0.1364  0.6872  0.4639
O  0.1317  0.6440  0.3580
O  0.5096  0.8637  0.3640
O  0.3598  0.5046  0.3600
O  0.1023  0.4684  0.8618
O  0.3630  0.8613  0.8602
O  0.5164  0.6427  0.8660
O  0.0013  0.7942  0.4046
O  0.7934  0.9995  0.4094
O  0.1853  0.1897  0.4109
O  0.9981  0.1996  0.9126
O  0.1864  0.9986  0.9152
O  0.7993  0.7859  0.9126
O  0.9525  0.1423  0.5858
O  0.1732  0.0346  0.5906
O  0.8375  0.7969  0.5801
O  0.9578  0.8159  0.0905
O  0.8405  0.0355  0.0843
O  0.1841  0.1471  0.0893
O  0.6688  0.1521  0.7458
O  0.4806  0.3413  0.7465
O  0.8833  0.5404  0.7458
O  0.6719  0.5352  0.2486
O  0.8805  0.3450  0.2470
O  0.4823  0.1506  0.2500
O  0.6214  0.4865  0.9190
O  0.8586  0.3692  0.9211
O  0.5197  0.1637  0.9269
O  0.6201  0.1276  0.4154
O  0.5193  0.3528  0.4225
O  0.8775  0.4923  0.4119
O  0.3569  0.4932  0.0785
O  0.1516  0.6830  0.0810
O  0.5413  0.8710  0.0730
O  0.3529  0.8638  0.5772
O  0.5373  0.6663  0.5728
O  0.1494  0.4668  0.5785
O  0.3019  0.8037  0.2590
O  0.5152  0.6829  0.2537
O  0.1805  0.4698  0.2536
O  0.2931  0.4948  0.7626
O  0.1840  0.7110  0.7529
O  0.5160  0.8233  0.7536

Output
Raw total energy ... -792.86 eV for the cell shown
Size of the total moment ... 0.000 μB/f.u.
Mass density ... 2.59 g/cm3


[3]
Material: Na12Mg2Ta10Si15S3O72
Method: DFT, PBE
State: relaxed

a = 8.9731 Å, b = 8.9673 Å, c = 22.6675 Å
α = 90.14°, β = 90.05°, γ = 120.06°
Positions (direct):
Na  0.3727  0.3629  0.2423
Na  0.9882  0.6183  0.2402
Na  0.6364  0.6273  0.7426
Na  0.3803  0.0109  0.7403
Na  0.0224  0.6821  0.5849
Na  0.6587  0.9782  0.5845
Na  0.0097  0.0102  0.4971
Na  0.0036  0.9986  0.9997
Na  0.6902  0.3336  0.8297
Na  0.6658  0.3112  0.3310
Na  0.3306  0.6668  0.1621
Na  0.3219  0.6503  0.6639
Mg  0.6833  0.3366  0.6851
Mg  0.6681  0.3262  0.1852
Ta  0.0095  0.0140  0.3580
Ta  0.9868  0.9889  0.8587
Ta  0.9926  0.9906  0.6430
Ta  0.0203  0.0094  0.1426
Ta  0.6657  0.3456  0.9771
Ta  0.6661  0.3298  0.4784
Ta  0.3207  0.6576  0.0200
Ta  0.3344  0.6669  0.5189
Ta  0.3255  0.6662  0.3145
Ta  0.3308  0.6743  0.8150
Si  0.2946  0.0014  0.2512
Si  0.9936  0.2868  0.2501
Si  0.9981  0.7061  0.7506
Si  0.7102  0.0040  0.7512
Si  0.9587  0.3361  0.5843
Si  0.3791  0.0488  0.5860
Si  0.6548  0.6096  0.5867
Si  0.9535  0.6214  0.0875
Si  0.3883  0.3436  0.0867
Si  0.6133  0.6649  0.9170
Si  0.0414  0.3751  0.9158
Si  0.3360  0.9604  0.9183
Si  0.6233  0.9562  0.4162
Si  0.3419  0.3835  0.4155
Si  0.0392  0.6659  0.4173
S  0.7124  0.7193  0.2505
S  0.2807  0.2871  0.7510
S  0.6663  0.0426  0.0837
O  0.1816  0.0139  0.3063
O  0.8183  0.8038  0.3037
O  0.9804  0.1678  0.3073
O  0.1970  0.1826  0.8038
O  0.9913  0.8224  0.8059
O  0.8336  0.0184  0.8070
O  0.8055  0.9737  0.6927
O  0.1760  0.2051  0.6970
O  0.0349  0.8334  0.6918
O  0.7926  0.8232  0.1968
O  0.0237  0.1862  0.1936
O  0.1642  0.9647  0.1924
O  0.8920  0.3913  0.6404
O  0.4911  0.1131  0.6452
O  0.6270  0.5143  0.6480
O  0.8861  0.5186  0.1476
O  0.6390  0.1159  0.1364
O  0.4840  0.3655  0.1476
O  0.4778  0.3088  0.0283
O  0.8329  0.5202  0.0289
O  0.6943  0.1486  0.0298
O  0.4739  0.1688  0.5280
O  0.7011  0.5262  0.5296
O  0.8309  0.2930  0.5262
O  0.5226  0.6944  0.9734
O  0.1630  0.4681  0.9734
O  0.3048  0.8330  0.9731
O  0.5350  0.8426  0.4753
O  0.3111  0.4780  0.4715
O  0.1611  0.6971  0.4748
O  0.1342  0.6379  0.3586
O  0.4974  0.8551  0.3594
O  0.3612  0.4948  0.3558
O  0.1392  0.5016  0.8590
O  0.3640  0.8689  0.8580
O  0.5023  0.6383  0.8565
O  0.0205  0.8354  0.4074
O  0.8112  0.9717  0.4078
O  0.1670  0.1918  0.4107
O  0.0289  0.1891  0.9075
O  0.1677  0.9813  0.9078
O  0.8084  0.8334  0.9109
O  0.9725  0.1589  0.5918
O  0.1814  0.0195  0.5903
O  0.8361  0.8097  0.5906
O  0.9662  0.8145  0.0901
O  0.8228  0.0217  0.0893
O  0.1873  0.1663  0.0890
O  0.6720  0.1591  0.7508
O  0.4526  0.3048  0.7469
O  0.8217  0.5278  0.7510
O  0.6935  0.5466  0.2474
O  0.8378  0.3239  0.2491
O  0.4742  0.1756  0.2482
O  0.6381  0.4962  0.9233
O  0.8527  0.3543  0.9253
O  0.5094  0.1461  0.9260
O  0.6401  0.1446  0.4223
O  0.5088  0.3615  0.4233
O  0.8534  0.4928  0.4239
O  0.3572  0.5077  0.0746
O  0.1516  0.6577  0.0745
O  0.5127  0.8661  0.0757
O  0.3480  0.8515  0.5741
O  0.5042  0.6598  0.5750
O  0.1513  0.5024  0.5720
O  0.2990  0.8193  0.2556
O  0.5364  0.6989  0.2552
O  0.1812  0.4748  0.2553
O  0.3005  0.4626  0.7549
O  0.1794  0.6993  0.7556
O  0.5229  0.8160  0.7560

Output
Raw total energy ... -877.39 eV for the cell shown
Size of the total moment ... 0.000 μB/f.u.
Mass density ... 4.00 g/cm3


[4]
Material: SrBiB
Method: DFT, PBE
State: relaxed

a = 5.2230 Å, b = 5.2230 Å, c = 5.2230 Å
α = 60.00°, β = 60.00°, γ = 60.00°
Positions (direct):
Sr  0.0000  0.0000  0.0000
Bi  0.7500  0.7500  0.7500
B  0.5000  0.5000  0.5000

Output
Raw total energy ... -9.46 eV for the cell shown
Size of the total moment ... 0.000 μB/f.u.
Mass density ... 5.07 g/cm3


[5]
Material: LaAgPb
Method: DFT, PBE
State: relaxed

a = 4.9558 Å, b = 4.9558 Å, c = 7.9203 Å
α = 90.00°, β = 90.00°, γ = 120.00°
Positions (direct):
La  0.0000  0.0000  0.9880
La  0.0000  0.0000  0.4880
Ag  0.6667  0.3333  0.6842
Ag  0.3333  0.6667  0.1842
Pb  0.3333  0.6667  0.7708
Pb  0.6667  0.3333  0.2708

Output
Raw total energy ... -25.98 eV for the cell shown
Mass density ... 8.95 g/cm3


[6]
Material: LaMgCrS4
Method: DFT, PBE
State: relaxed

a = 7.9115 Å, b = 7.7326 Å, c = 7.7332 Å
α = 58.95°, β = 59.23°, γ = 59.23°
Positions (direct):
La  0.5000  0.5000  0.5000
La  0.0000  0.5000  0.5000
Mg  0.8718  0.8782  0.8783
Mg  0.1283  0.1218  0.1217
Cr  0.5000  0.5000  0.9999
Cr  0.5000  0.0000  0.5000
S  0.7003  0.7610  0.7610
S  0.2753  0.2161  0.7334
S  0.2752  0.7335  0.2160
S  0.7223  0.2390  0.2390
S  0.7247  0.2665  0.7840
S  0.2777  0.7610  0.7610
S  0.2997  0.2390  0.2390
S  0.7248  0.7840  0.2666

Output
Raw total energy ... -83.22 eV for the cell shown
Size of the total moment ... 3.000 μB/f.u.
Mass density ... 3.48 g/cm3


[7]
Material: Ba3Lu2Zn5O11
Method: DFT, PBE
State: relaxed

a = 9.6293 Å, b = 9.6293 Å, c = 9.6293 Å
α = 60.00°, β = 60.00°, γ = 60.00°
Positions (direct):
Ba  0.5436  0.5436  0.9564
Ba  0.9564  0.5436  0.9564
Ba  0.5436  0.9564  0.5436
Ba  0.9564  0.9564  0.5436
Ba  0.5436  0.9564  0.9564
Ba  0.9564  0.5436  0.5436
Lu  0.7431  0.0856  0.0856
Lu  0.0856  0.7431  0.0856
Lu  0.0856  0.0856  0.0856
Lu  0.0856  0.0856  0.7431
Zn  0.6675  0.3325  0.6675
Zn  0.9990  0.3337  0.3337
Zn  0.6675  0.6675  0.3325
Zn  0.3337  0.3337  0.9990
Zn  0.3325  0.6675  0.6675
Zn  0.3337  0.3337  0.3337
Zn  0.3325  0.3325  0.6675
Zn  0.3337  0.9990  0.3337
Zn  0.3325  0.6675  0.3325
Zn  0.6675  0.3325  0.3325
O  0.5835  0.2481  0.2481
O  0.5835  0.2481  0.9203
O  0.2374  0.9209  0.9209
O  0.2243  0.5919  0.5919
O  0.9203  0.2481  0.5835
O  0.5835  0.9203  0.2481
O  0.5919  0.5919  0.2243
O  0.2481  0.2481  0.5835
O  0.2481  0.5835  0.2481
O  0.2481  0.9203  0.2481
O  0.5919  0.2243  0.5919
O  0.2500  0.2500  0.2500
O  0.9209  0.9209  0.9209
O  0.2481  0.2481  0.9203
O  0.9209  0.9209  0.2374
O  0.9209  0.2374  0.9209
O  0.9203  0.5835  0.2481
O  0.2481  0.5835  0.9203
O  0.5919  0.5919  0.5919
O  0.2481  0.9203  0.5835
O  0.7500  0.7500  0.7500
O  0.9203  0.2481  0.2481

Output
Raw total energy ... -248.20 eV for the cell shown
Size of the total moment ... 0.001 μB/f.u.
Mass density ... 6.65 g/cm3


[8]
Material: Gd3Si2BrO8
Method: DFT, PBE
State: relaxed

a = 10.3313 Å, b = 10.3313 Å, c = 10.3313 Å
α = 144.26°, β = 140.43°, γ = 54.37°
Positions (direct):
Gd  0.0916  0.7178  0.6345
Gd  0.9167  0.2822  0.3738
Gd  0.5916  0.9571  0.3738
Gd  0.4167  0.0429  0.6345
Gd  0.9838  0.6198  0.1036
Gd  0.4838  0.3802  0.3640
Si  0.0954  0.2205  0.1167
Si  0.8962  0.7795  0.8749
Si  0.5954  0.4787  0.8749
Si  0.3962  0.5213  0.1167
Br  0.2464  0.9853  0.7317
Br  0.7464  0.0147  0.2611
O  0.1629  0.4430  0.2552
O  0.8122  0.5570  0.7199
O  0.6629  0.4077  0.7199
O  0.3122  0.5923  0.2552
O  0.8004  0.6419  0.2160
O  0.5740  0.3581  0.1585
O  0.3004  0.0844  0.1585
O  0.0740  0.9156  0.2160
O  0.2271  0.3533  0.7711
O  0.4178  0.6467  0.8738
O  0.7271  0.9561  0.8738
O  0.9178  0.0439  0.7711
O  0.0351  0.3224  0.2924
O  0.9701  0.6776  0.7128
O  0.5351  0.2427  0.7128
O  0.4701  0.7573  0.2924

Output
Raw total energy ... -276.08 eV for the cell shown
Size of the total moment ... 20.998 μB/f.u.
Mass density ... 6.00 g/cm3


Formation energy? In order: -0.8629; -2.6400; -2.9751; 0.9337; -0.5028; -1.5549; -2.6730; -3.5168 eV per atom.